VASP calculation (GGA-PBE) on a geometry-optimized Ba9Ca3Mo4N16 structure.

The structure in POSCAR format:
```
Ba9Ca3Mo4N16
1.0
10.1247 0.0000 0.0000
0.0000 10.5942 0.0000
-0.0125 0.0000 12.1712
Ba Ca Mo N
18 6 8 32
direct
0.0448 0.0000 0.1149 Ba
0.0550 0.4974 0.3787 Ba
0.1279 0.7010 0.6453 Ba
0.1305 0.1923 0.8545 Ba
0.2142 0.1051 0.3906 Ba
0.3698 0.2688 0.1396 Ba
0.3726 0.7575 0.3545 Ba
0.4452 0.4633 0.8834 Ba
0.4475 0.9604 0.6178 Ba
0.5525 0.4604 0.3822 Ba
0.5548 0.9633 0.1166 Ba
0.6274 0.2575 0.6455 Ba
0.6302 0.7688 0.8604 Ba
0.7858 0.6051 0.6094 Ba
0.8695 0.6923 0.1455 Ba
0.8721 0.2010 0.3547 Ba
0.9450 0.9974 0.6213 Ba
0.9552 0.5000 0.8851 Ba
0.2198 0.6150 0.1014 Ca
0.2830 0.3505 0.6065 Ca
0.2825 0.8478 0.8995 Ca
0.7175 0.3478 0.1005 Ca
0.7170 0.8505 0.3935 Ca
0.7802 0.1150 0.8986 Ca
0.0323 0.3291 0.1130 Mo
0.0373 0.8189 0.3757 Mo
0.4512 0.6359 0.6195 Mo
0.4647 0.1354 0.8796 Mo
0.5353 0.6354 0.1204 Mo
0.5488 0.1359 0.3805 Mo
0.9627 0.3189 0.6243 Mo
0.9677 0.8291 0.8870 Mo
0.0631 0.4474 0.6901 N
0.0785 0.9412 0.8106 N
0.0812 0.7294 0.9747 N
0.0840 0.2169 0.5495 N
0.1179 0.2216 0.2122 N
0.1228 0.7164 0.2703 N
0.1640 0.4066 0.0238 N
0.1649 0.8789 0.4767 N
0.3219 0.5606 0.5285 N
0.3357 0.0588 0.9704 N
0.3732 0.7428 0.7262 N
0.3790 0.2409 0.7756 N
0.4234 0.5195 0.1919 N
0.4246 0.7365 0.0307 N
0.4383 0.2392 0.4695 N
0.4459 0.0122 0.3107 N
0.5541 0.5122 0.6893 N
0.5617 0.7392 0.5305 N
0.5754 0.2365 0.9693 N
0.5766 0.0195 0.8081 N
0.6210 0.7409 0.2244 N
0.6268 0.2428 0.2738 N
0.6643 0.5588 0.0296 N
0.6781 0.0606 0.4715 N
0.8351 0.3789 0.5233 N
0.8360 0.9066 0.9762 N
0.8772 0.2164 0.7297 N
0.8821 0.7216 0.7878 N
0.9160 0.7169 0.4505 N
0.9188 0.2294 0.0253 N
0.9215 0.4412 0.1894 N
0.9369 0.9474 0.3099 N
```

Summary:
Space-group type: P2_1
ΔH_f (0 K) (kcal/mol of atoms): -24.75